# LiMnF3

Crystalline LiMnF3 at its relaxed geometry (PBE with a Hubbard U, the Materials Project).

Geometry as extended XYZ:
```
20
Lattice="3.915 5.965 0.000 -3.915 5.965 0.000 0.000 3.012 5.392" Properties=species:S:1:pos:R:3 pbc="T T T"
F 1.398 5.854 2.884
Li -2.185 6.876 1.198
Mn -0.425 5.644 4.435
Mn -0.453 10.811 3.436
F -0.024 11.355 1.377
Mn 0.425 4.138 1.739
F 1.400 4.906 0.117
F -1.398 4.348 0.188
F 0.943 9.252 2.774
F 1.722 7.749 0.006
F 0.024 12.861 4.073
F -0.943 7.746 0.078
Li -2.218 7.837 3.817
Mn 0.453 9.305 0.740
Li 2.185 8.382 3.894
F -0.339 3.690 3.622
F -1.400 6.412 2.813
Li 2.218 6.331 1.121
F 0.339 2.184 0.926
F -1.722 9.255 2.702
```

Properties
Symmetry ... No. 9
Formation enthalpy at 0 K ... -2947 meV per atom
Calculated density ... 3.135 Mg/m³
E above lowest polymorph ... 77.7 meV/atom
Spin magnetization ... 5.00 μB per formula unit
E (MP2020) ... -6.309 eV per atom